The following is a DFT calculation (r2SCAN) of a relaxed structure of K4PbO3.

Results
**DFT total energy**: -13.66 eV per atom
**Symmetry**: No. 61
**Theoretical density**: 3.905 g/cm³

Unit cell a=6.5614 b=11.4386 c=18.6574 alpha=90.00 beta=90.00 gamma=90.00
Positions (direct):
K 0.0552 0.1225 0.1999
K 0.0552 0.3775 0.6999
K 0.1291 0.6715 0.6492
K 0.1291 0.8285 0.1492
K 0.2311 0.1888 0.4434
K 0.2311 0.3112 0.9434
K 0.2481 0.5557 0.0343
K 0.2481 0.9443 0.5343
K 0.2519 0.0557 0.0343
K 0.2519 0.4443 0.5343
K 0.2689 0.6888 0.4434
K 0.2689 0.8112 0.9434
K 0.3709 0.1715 0.6492
K 0.3709 0.3285 0.1492
K 0.4448 0.6225 0.1999
K 0.4448 0.8775 0.6999
K 0.5552 0.1225 0.3001
K 0.5552 0.3775 0.8001
K 0.6291 0.6715 0.8508
K 0.6291 0.8285 0.3508
K 0.7311 0.1888 0.0566
K 0.7311 0.3112 0.5566
K 0.7481 0.5557 0.4657
K 0.7481 0.9443 0.9657
K 0.7519 0.0557 0.4657
K 0.7519 0.4443 0.9657
K 0.7689 0.6888 0.0566
K 0.7689 0.8112 0.5566
K 0.8709 0.1715 0.8508
K 0.8709 0.3285 0.3508
K 0.9448 0.6225 0.3001
K 0.9448 0.8775 0.8001
Pb 0.1152 0.5650 0.8440
Pb 0.1152 0.9350 0.3440
Pb 0.3848 0.0650 0.8440
Pb 0.3848 0.4350 0.3440
Pb 0.6152 0.5650 0.6560
Pb 0.6152 0.9350 0.1560
Pb 0.8848 0.0650 0.6560
Pb 0.8848 0.4350 0.1560
O 0.0403 0.6047 0.1583
O 0.0403 0.8953 0.6583
O 0.0411 0.1503 0.5665
O 0.0411 0.3497 0.0665
O 0.1119 0.0124 0.9013
O 0.1119 0.4876 0.4013
O 0.3881 0.5124 0.9013
O 0.3881 0.9876 0.4013
O 0.4589 0.6503 0.5665
O 0.4589 0.8497 0.0665
O 0.4597 0.1047 0.1583
O 0.4597 0.3953 0.6583
O 0.5403 0.6047 0.3417
O 0.5403 0.8953 0.8417
O 0.5411 0.1503 0.9335
O 0.5411 0.3497 0.4335
O 0.6119 0.0124 0.5987
O 0.6119 0.4876 0.0987
O 0.8881 0.5124 0.5987
O 0.8881 0.9876 0.0987
O 0.9589 0.6503 0.9335
O 0.9589 0.8497 0.4335
O 0.9597 0.1047 0.3417
O 0.9597 0.3953 0.8417



The following is a DFT calculation (r2SCAN) of a relaxed structure of Nb3Br8.

Results
**DFT total energy**: -17.49 eV per atom
**Symmetry**: No. 166
**Theoretical density**: 5.026 g/cm³

Unit cell a=14.3062 b=14.3062 c=14.3062 alpha=28.94 beta=28.94 gamma=28.94
Positions (direct):
Nb 0.1472 0.5498 0.5498
Nb 0.4502 0.4502 0.8528
Nb 0.4502 0.8528 0.4502
Nb 0.5498 0.1472 0.5498
Nb 0.5498 0.5498 0.1472
Nb 0.8528 0.4502 0.4502
Br 0.1168 0.1168 0.6243
Br 0.1168 0.6243 0.1168
Br 0.2096 0.7073 0.7073
Br 0.2166 0.2166 0.2166
Br 0.2927 0.2927 0.7904
Br 0.2927 0.7904 0.2927
Br 0.3670 0.3670 0.3670
Br 0.3757 0.8832 0.8832
Br 0.6243 0.1168 0.1168
Br 0.6330 0.6330 0.6330
Br 0.7073 0.2096 0.7073
Br 0.7073 0.7073 0.2096
Br 0.7834 0.7834 0.7834
Br 0.7904 0.2927 0.2927
Br 0.8832 0.3757 0.8832
Br 0.8832 0.8832 0.3757



The following is a DFT calculation (r2SCAN) of a relaxed structure of PaNi2Sn.

Results
**DFT total energy**: -31.76 eV per atom
**Symmetry**: No. 12
**Theoretical density**: 11.266 g/cm³

Unit cell a=7.9590 b=4.6004 c=4.6010 alpha=90.00 beta=125.18 gamma=90.00
Positions (direct):
Pa 0.0000 0.0000 0.0000
Pa 0.5000 0.5000 0.0000
Ni 0.2486 0.0000 0.7440
Ni 0.2514 0.5000 0.2560
Ni 0.7486 0.5000 0.7440
Ni 0.7514 0.0000 0.2560
Sn 0.0000 0.5000 0.5000
Sn 0.5000 0.0000 0.5000



Q: Look up the theoretical density of the second one.
A: 5.026 g/cm³



What did the third record say?
The following is a DFT calculation (r2SCAN) of a relaxed structure of PaNi2Sn.

Results
**DFT total energy**: -31.76 eV per atom
**Symmetry**: No. 12
**Theoretical density**: 11.266 g/cm³

Unit cell a=7.9590 b=4.6004 c=4.6010 alpha=90.00 beta=125.18 gamma=90.00
Positions (direct):
Pa 0.0000 0.0000 0.0000
Pa 0.5000 0.5000 0.0000
Ni 0.2486 0.0000 0.7440
Ni 0.2514 0.5000 0.2560
Ni 0.7486 0.5000 0.7440
Ni 0.7514 0.0000 0.2560
Sn 0.0000 0.5000 0.5000
Sn 0.5000 0.0000 0.5000